Entry from Materials Project: a relaxed MnAlTc crystal (PBE-GGA).

## Properties
space-group type	F-43m (216)
crystal system	cubic
volume	16.47	A^3/atom
size of the total moment	15.07	μB/cell
energy of formation	0.45	eV/atom

Lattice parameters (Å, degrees): 5.824 5.824 5.824 90.00 90.00 90.00
Sites, in units of the cell vectors:
Mn  0.000  0.000  0.000
Mn  0.000  0.500  0.500
Mn  0.500  0.000  0.500
Mn  0.500  0.500  0.000
Al  0.250  0.250  0.250
Al  0.250  0.750  0.750
Al  0.750  0.250  0.750
Al  0.750  0.750  0.250
Tc  0.000  0.000  0.500
Tc  0.000  0.500  0.000
Tc  0.500  0.000  0.000
Tc  0.500  0.500  0.500